Compound: HgPPd5
Source: the Materials Project
Functional: meta-GGA r2SCAN
Structure: optimized geometry

Calculated values
Calculated volume = 15.7 Å³/atom
DFT formation energy = -0.386 eV per atom
Spin magnetization = 0.0 μB per cell

```
HgPPd5
1.0
3.951 0.000 0.000
0.000 3.951 0.000
0.000 0.000 7.061
Hg P Pd
1 1 5
Direct
0.000 0.000 0.000
0.500 0.500 0.500
0.000 0.500 0.303
0.000 0.500 0.697
0.500 0.000 0.303
0.500 0.000 0.697
0.500 0.500 0.000
```



Compound: PaHgTe2
Source: the Materials Project
Functional: meta-GGA r2SCAN
Structure: optimized geometry

Calculated values
Calculated volume = 28.1 Å³/atom
DFT formation energy = -0.518 eV per atom
Spin magnetization = 1.0 μB per cell

```
PaHgTe2
1.0
0.000 3.831 3.831
3.831 0.000 3.831
3.831 3.831 0.000
Pa Hg Te
1 1 2
Direct
0.000 0.000 0.000
0.500 0.500 0.500
0.250 0.250 0.250
0.750 0.750 0.750
```



Compound: HgPb3
Source: the Materials Project
Functional: meta-GGA r2SCAN
Structure: optimized geometry

Calculated values
Calculated volume = 29.5 Å³/atom
DFT formation energy = 0.038 eV per atom
Spin magnetization = 0.0 μB per cell

```
HgPb3
1.0
3.940 0.000 0.000
0.000 3.940 0.000
0.000 0.000 7.608
Hg Pb
1 3
Direct
0.000 0.000 0.000
0.000 0.000 0.500
0.500 0.500 0.237
0.500 0.500 0.763
```



Compound: Hg3Pb
Source: the Materials Project
Functional: meta-GGA r2SCAN
Structure: optimized geometry

Calculated values
Calculated volume = 26.3 Å³/atom
DFT formation energy = 0.068 eV per atom
Spin magnetization = 0.0 μB per cell

```
Hg3Pb
1.0
6.870 0.000 0.000
-3.435 5.949 0.000
0.000 0.000 5.148
Hg Pb
6 2
Direct
0.162 0.324 0.250
0.162 0.838 0.250
0.324 0.162 0.750
0.676 0.838 0.250
0.838 0.162 0.750
0.838 0.676 0.750
0.333 0.667 0.750
0.667 0.333 0.250
```



Compound: HgPb2
Source: the Materials Project
Functional: meta-GGA r2SCAN
Structure: optimized geometry

Calculated values
Calculated volume = 29.4 Å³/atom
DFT formation energy = 0.022 eV per atom
Spin magnetization = 0.0 μB per cell

```
HgPb2
1.0
3.111 -1.796 0.000
3.111 1.796 0.000
-0.107 0.000 7.884
Hg Pb
1 2
Direct
0.000 0.000 0.000
0.339 0.339 0.673
0.661 0.661 0.327
```



Compound: Pr2HgPb
Source: the Materials Project
Functional: meta-GGA r2SCAN
Structure: optimized geometry

Calculated values
Calculated volume = 29.7 Å³/atom
DFT formation energy = -0.629 eV per atom
Spin magnetization = 0.0 μB per cell

```
Pr2HgPb
1.0
0.000 3.902 3.902
3.902 0.000 3.902
3.902 3.902 0.000
Pr Hg Pb
2 1 1
Direct
0.250 0.250 0.250
0.750 0.750 0.750
0.000 0.000 0.000
0.500 0.500 0.500
```



Compound: PrHgPd
Source: the Materials Project
Functional: meta-GGA r2SCAN
Structure: optimized geometry

Calculated values
Calculated volume = 23.3 Å³/atom
DFT formation energy = -0.735 eV per atom
Spin magnetization = 0.0 μB per cell

```
PrHgPd
1.0
7.812 0.000 0.000
-3.906 6.766 0.000
0.000 0.000 3.959
Pr Hg Pd
3 3 3
Direct
0.000 0.601 0.000
0.399 0.399 0.000
0.601 0.000 0.000
0.000 0.264 0.500
0.264 0.000 0.500
0.736 0.736 0.500
0.000 0.000 0.000
0.333 0.667 0.500
0.667 0.333 0.500
```



Compound: Hg3Pd8Se9
Source: the Materials Project
Functional: meta-GGA r2SCAN
Structure: optimized geometry

Calculated values
Calculated volume = 20.3 Å³/atom
DFT formation energy = -0.369 eV per atom
Spin magnetization = 0.0 μB per cell

```
Hg3Pd8Se9
1.0
7.278 0.000 0.000
0.000 16.987 0.000
0.000 0.000 6.555
Hg Pd Se
6 16 18
Direct
0.250 0.045 0.123
0.250 0.455 0.123
0.250 0.750 0.289
0.750 0.250 0.711
0.750 0.545 0.877
0.750 0.955 0.877
0.012 0.161 0.959
0.012 0.339 0.959
0.250 0.165 0.396
0.250 0.335 0.396
0.250 0.513 0.531
0.250 0.987 0.531
0.488 0.161 0.959
0.488 0.339 0.959
0.512 0.661 0.041
0.512 0.839 0.041
0.750 0.013 0.469
0.750 0.487 0.469
0.750 0.665 0.604
0.750 0.835 0.604
0.988 0.661 0.041
0.988 0.839 0.041
0.005 0.750 0.737
0.016 0.090 0.613
0.016 0.410 0.613
0.250 0.250 0.805
0.250 0.583 0.898
0.250 0.917 0.898
0.484 0.090 0.613
0.484 0.410 0.613
0.495 0.750 0.737
0.505 0.250 0.263
0.516 0.590 0.387
0.516 0.910 0.387
0.750 0.083 0.102
0.750 0.417 0.102
0.750 0.750 0.195
0.984 0.590 0.387
0.984 0.910 0.387
0.995 0.250 0.263
```



Compound: SmHgPd
Source: the Materials Project
Functional: meta-GGA r2SCAN
Structure: optimized geometry

Calculated values
Calculated volume = 22.3 Å³/atom
DFT formation energy = -0.758 eV per atom
Spin magnetization = 0.0 μB per cell

```
SmHgPd
1.0
7.759 0.000 0.000
-3.880 6.720 0.000
0.000 0.000 3.844
Sm Hg Pd
3 3 3
Direct
0.000 0.602 0.000
0.398 0.398 0.000
0.602 0.000 0.000
0.000 0.268 0.500
0.268 0.000 0.500
0.732 0.732 0.500
0.000 0.000 0.000
0.333 0.667 0.500
0.667 0.333 0.500
```



> Which of these has the highest DFT formation energy?

Hg3Pb